Entry 1:
Computed, not measured: crystalline Li3FeO3 at its relaxed geometry at the GGA+U level of DFT.

Unit cell a=5.9047 b=5.8860 c=8.4295 alpha=90.00 beta=90.00 gamma=90.00
Element x y z (fractional)
Li (0.0056, 0.0175, 0.2487)
Li (0.0056, 0.4825, 0.2487)
Li (0.2445, 0.7500, 0.9758)
Li (0.2555, 0.2500, 0.4758)
Li (0.4944, 0.5175, 0.7487)
Li (0.4944, 0.9825, 0.7487)
Li (0.5056, 0.0175, 0.2513)
Li (0.5056, 0.4825, 0.2513)
Li (0.7445, 0.7500, 0.5242)
Li (0.7555, 0.2500, 0.0242)
Li (0.9944, 0.5175, 0.7513)
Li (0.9944, 0.9825, 0.7513)
Fe (0.2190, 0.2500, 0.0172)
Fe (0.2810, 0.7500, 0.5172)
Fe (0.7190, 0.2500, 0.4828)
Fe (0.7810, 0.7500, 0.9828)
O (0.0000, 0.0000, 0.0000)
O (0.0000, 0.5000, 0.0000)
O (0.0231, 0.7500, 0.3902)
O (0.2400, 0.7500, 0.7378)
O (0.2600, 0.2500, 0.2378)
O (0.4769, 0.2500, 0.8902)
O (0.5000, 0.0000, 0.5000)
O (0.5000, 0.5000, 0.5000)
O (0.5231, 0.7500, 0.1098)
O (0.7400, 0.7500, 0.7622)
O (0.7600, 0.2500, 0.2622)
O (0.9769, 0.2500, 0.6098)

Results
- Formation enthalpy at 0 K: -13.78 eV/f.u.
- ρ: 2826 kg/m³

Entry 2:
Computed, not measured: crystalline Li2VCrO4 at its relaxed geometry at the GGA+U level of DFT.

Unit cell a=5.9782 b=5.9782 c=5.9782 alpha=120.59 beta=120.45 gamma=89.11
Element x y z (fractional)
Li (0.0000, 0.0000, 0.0000)
Li (0.5000, 0.0000, 0.0000)
Li (0.5000, 0.0000, 0.5000)
Li (0.5000, 0.5000, 0.5000)
V (0.0000, 0.0000, 0.5000)
V (0.0000, 0.5000, 0.0000)
Cr (0.0000, 0.5000, 0.5000)
Cr (0.5000, 0.5000, 0.0000)
O (0.2269, 0.7395, 0.4875)
O (0.2464, 0.2627, 0.5164)
O (0.2464, 0.7300, 0.9836)
O (0.2480, 0.2605, 0.9875)
O (0.7520, 0.7395, 0.0125)
O (0.7536, 0.2700, 0.0164)
O (0.7536, 0.7373, 0.4836)
O (0.7731, 0.2605, 0.5125)

Results
- Formation enthalpy at 0 K: -19.43 eV/f.u.
- ρ: 4007 kg/m³

Entry 3:
Computed, not measured: crystalline Li2CrNiO4 at its relaxed geometry at the GGA+U level of DFT.

Unit cell a=5.8481 b=5.8481 c=5.8481 alpha=120.22 beta=120.00 gamma=89.81
Element x y z (fractional)
Li (0.0000, 0.0000, 0.0000)
Li (0.5000, 0.0000, 0.0000)
Li (0.5000, 0.0000, 0.5000)
Li (0.5000, 0.5000, 0.5000)
Cr (0.0000, 0.5000, 0.5000)
Cr (0.5000, 0.5000, 0.0000)
Ni (0.0000, 0.0000, 0.5000)
Ni (0.0000, 0.5000, 0.0000)
O (0.2217, 0.7375, 0.4842)
O (0.2466, 0.2625, 0.9842)
O (0.2509, 0.2697, 0.5188)
O (0.2509, 0.7320, 0.9812)
O (0.7491, 0.2680, 0.0188)
O (0.7491, 0.7303, 0.4812)
O (0.7534, 0.7375, 0.0158)
O (0.7783, 0.2625, 0.5158)

Results
- Formation enthalpy at 0 K: -15.67 eV/f.u.
- ρ: 4435 kg/m³

Entry 4:
Computed, not measured: crystalline NaVP2O8 at its relaxed geometry at the GGA+U level of DFT.

Unit cell a=7.6357 b=13.7247 c=6.2543 alpha=90.00 beta=98.48 gamma=90.00
Element x y z (fractional)
Na (0.0830, 0.2040, 0.1546)
Na (0.0830, 0.2960, 0.6546)
Na (0.9170, 0.7040, 0.3454)
Na (0.9170, 0.7960, 0.8454)
V (0.2390, 0.5762, 0.7669)
V (0.2390, 0.9238, 0.2669)
V (0.7610, 0.0762, 0.7331)
V (0.7610, 0.4238, 0.2331)
P (0.1712, 0.5172, 0.2532)
P (0.1712, 0.9828, 0.7532)
P (0.3598, 0.1313, 0.5336)
P (0.3598, 0.3687, 0.0336)
P (0.6402, 0.6313, 0.9664)
P (0.6402, 0.8687, 0.4664)
P (0.8288, 0.0172, 0.2468)
P (0.8288, 0.4828, 0.7468)
O (0.0294, 0.0188, 0.2411)
O (0.0294, 0.4812, 0.7411)
O (0.1085, 0.6701, 0.6991)
O (0.1085, 0.8299, 0.1991)
O (0.2177, 0.5875, 0.0800)
O (0.2177, 0.9125, 0.5800)
O (0.2280, 0.0903, 0.7001)
O (0.2280, 0.4097, 0.2001)
O (0.2722, 0.5420, 0.4777)
O (0.2722, 0.9580, 0.9777)
O (0.2813, 0.2281, 0.4630)
O (0.2813, 0.2719, 0.9630)
O (0.3648, 0.0550, 0.3585)
O (0.3648, 0.4450, 0.8585)
O (0.4554, 0.6408, 0.8217)
O (0.4554, 0.8592, 0.3217)
O (0.5446, 0.1408, 0.6783)
O (0.5446, 0.3592, 0.1783)
O (0.6352, 0.5550, 0.1415)
O (0.6352, 0.9450, 0.6415)
O (0.7187, 0.7281, 0.0370)
O (0.7187, 0.7719, 0.5370)
O (0.7278, 0.0420, 0.0223)
O (0.7278, 0.4580, 0.5223)
O (0.7720, 0.5903, 0.7999)
O (0.7720, 0.9097, 0.2999)
O (0.7823, 0.0875, 0.4200)
O (0.7823, 0.4125, 0.9200)
O (0.8915, 0.1701, 0.8009)
O (0.8915, 0.3299, 0.3009)
O (0.9706, 0.5188, 0.2589)
O (0.9706, 0.9812, 0.7589)

Results
- Formation enthalpy at 0 K: -30.33 eV/f.u.
- ρ: 2704 kg/m³